(1)
This record from Materials Project describes an optimized crystal structure of La3Al5O12. The functional is PBE.

a b c (Å): 10.833 10.833 10.833
angles (deg): 109.47 109.47 109.47
Atoms (fractional coordinates):
La: 0.750 0.125 0.375
La: 0.375 0.125 0.250
La: 0.875 0.625 0.250
La: 0.250 0.375 0.125
La: 0.125 0.250 0.375
La: 0.625 0.250 0.875
La: 0.375 0.750 0.125
La: 0.875 0.750 0.625
La: 0.750 0.625 0.875
La: 0.125 0.375 0.750
La: 0.625 0.875 0.750
La: 0.250 0.875 0.625
Al: 0.875 0.250 0.125
Al: 0.500 0.000 0.000
Al: 0.000 0.000 0.000
Al: 0.875 0.125 0.750
Al: 0.500 0.500 0.000
Al: 0.500 0.000 0.500
Al: 0.625 0.375 0.250
Al: 0.750 0.875 0.125
Al: 0.750 0.375 0.625
Al: 0.625 0.750 0.375
Al: 0.375 0.250 0.625
Al: 0.000 0.500 0.000
Al: 0.000 0.000 0.500
Al: 0.500 0.500 0.500
Al: 0.250 0.625 0.375
Al: 0.250 0.125 0.875
Al: 0.000 0.500 0.500
Al: 0.375 0.625 0.750
Al: 0.125 0.875 0.250
Al: 0.125 0.750 0.875
O: 0.898 0.012 0.319
O: 0.887 0.398 0.079
O: 0.921 0.307 0.319
O: 0.921 0.113 0.602
O: 0.988 0.681 0.102
O: 0.579 0.181 0.193
O: 0.613 0.421 0.102
O: 0.193 0.113 0.012
O: 0.693 0.681 0.079
O: 0.602 0.181 0.488
O: 0.898 0.387 0.579
O: 0.113 0.012 0.193
O: 0.819 0.512 0.398
O: 0.681 0.079 0.693
O: 0.488 0.387 0.307
O: 0.488 0.602 0.181
O: 0.012 0.193 0.113
O: 0.421 0.102 0.613
O: 0.387 0.307 0.488
O: 0.681 0.102 0.988
O: 0.819 0.807 0.421
O: 0.807 0.421 0.819
O: 0.693 0.512 0.613
O: 0.602 0.921 0.113
O: 0.193 0.579 0.181
O: 0.307 0.488 0.387
O: 0.398 0.079 0.887
O: 0.613 0.693 0.512
O: 0.181 0.193 0.579
O: 0.319 0.898 0.012
O: 0.579 0.898 0.387
O: 0.512 0.398 0.819
O: 0.988 0.807 0.887
O: 0.512 0.613 0.693
O: 0.181 0.488 0.602
O: 0.887 0.988 0.807
O: 0.319 0.921 0.307
O: 0.307 0.319 0.921
O: 0.398 0.819 0.512
O: 0.102 0.613 0.421
O: 0.807 0.887 0.988
O: 0.387 0.579 0.898
O: 0.079 0.887 0.398
O: 0.421 0.819 0.807
O: 0.012 0.319 0.898
O: 0.079 0.693 0.681
O: 0.113 0.602 0.921
O: 0.102 0.988 0.681

Formation energy from the elements: -6976 kJ/mol of formula units
Corrected total energy (MP2020 scheme): -8.2604 eV/atom

=====

(2)
This record from Materials Project describes an optimized crystal structure of LaAlO3. The functional is PBE.

a b c (Å): 7.939 7.368 16.248
angles (deg): 82.78 90.00 90.00
Atoms (fractional coordinates):
La: 0.126 0.264 0.903
La: 0.626 0.264 0.905
La: 0.375 0.969 0.757
La: 0.875 0.031 0.743
La: 0.126 0.736 0.595
La: 0.626 0.736 0.597
La: 0.374 0.264 0.403
La: 0.874 0.264 0.405
La: 0.125 0.969 0.257
La: 0.625 0.031 0.243
La: 0.374 0.736 0.095
La: 0.874 0.736 0.097
Al: 0.595 0.764 0.907
Al: 0.156 0.765 0.907
Al: 0.876 0.556 0.799
Al: 0.376 0.444 0.701
Al: 0.656 0.235 0.593
Al: 0.095 0.236 0.593
Al: 0.905 0.764 0.407
Al: 0.344 0.765 0.407
Al: 0.624 0.556 0.299
Al: 0.124 0.444 0.201
Al: 0.844 0.235 0.093
Al: 0.405 0.236 0.093
O: 0.881 0.227 0.987
O: 0.370 0.235 0.986
O: 0.375 0.745 0.892
O: 0.644 0.978 0.846
O: 0.696 0.584 0.863
O: 0.108 0.978 0.844
O: 0.056 0.585 0.863
O: 0.874 0.312 0.803
O: 0.377 0.289 0.795
O: 0.877 0.711 0.705
O: 0.374 0.688 0.697
O: 0.556 0.415 0.637
O: 0.608 0.022 0.656
O: 0.196 0.416 0.637
O: 0.144 0.022 0.654
O: 0.875 0.255 0.608
O: 0.870 0.765 0.514
O: 0.381 0.773 0.513
O: 0.619 0.227 0.487
O: 0.130 0.235 0.486
O: 0.125 0.745 0.392
O: 0.856 0.978 0.346
O: 0.804 0.584 0.363
O: 0.392 0.978 0.344
O: 0.444 0.585 0.363
O: 0.626 0.312 0.303
O: 0.123 0.289 0.295
O: 0.623 0.711 0.205
O: 0.126 0.688 0.197
O: 0.944 0.415 0.137
O: 0.892 0.022 0.156
O: 0.304 0.416 0.137
O: 0.356 0.022 0.154
O: 0.625 0.255 0.108
O: 0.630 0.765 0.014
O: 0.119 0.773 0.013

Formation energy from the elements: -1779 kJ/mol of formula units
Corrected total energy (MP2020 scheme): -8.3917 eV/atom

=====

(3)
This record from Materials Project describes an optimized crystal structure of LaAlO3. The functional is PBE.

a b c (Å): 6.852 6.859 9.855
angles (deg): 109.81 86.92 101.58
Atoms (fractional coordinates):
La: 0.240 0.748 0.005
La: 0.427 0.880 0.652
La: 0.924 0.733 0.349
La: 0.076 0.267 0.651
La: 0.573 0.120 0.348
La: 0.760 0.252 0.995
Al: 0.387 0.613 0.293
Al: 0.272 0.243 0.008
Al: 0.957 0.747 0.709
Al: 0.043 0.253 0.291
Al: 0.728 0.757 0.992
Al: 0.613 0.387 0.707
O: 0.593 0.944 0.105
O: 0.258 0.800 0.265
O: 0.075 0.894 0.600
O: 0.583 0.792 0.409
O: 0.882 0.656 0.079
O: 0.455 0.443 0.127
O: 0.163 0.644 0.744
O: 0.231 0.467 0.391
O: 0.863 0.888 0.876
O: 0.137 0.112 0.124
O: 0.769 0.533 0.609
O: 0.837 0.356 0.256
O: 0.545 0.557 0.873
O: 0.118 0.344 0.921
O: 0.417 0.208 0.591
O: 0.925 0.106 0.400
O: 0.742 0.200 0.735
O: 0.407 0.056 0.895

Formation energy from the elements: -1775 kJ/mol of formula units
Corrected total energy (MP2020 scheme): -8.3848 eV/atom

=====

(4)
This record from Materials Project describes an optimized crystal structure of La3AlO6. The functional is PBE.

a b c (Å): 7.557 7.557 5.645
angles (deg): 90.00 90.00 102.89
Atoms (fractional coordinates):
La: 0.085 0.301 0.468
La: 0.301 0.085 0.968
La: 0.605 0.395 0.429
La: 0.395 0.605 0.929
La: 0.699 0.915 0.468
La: 0.915 0.699 0.968
Al: 0.805 0.195 0.009
Al: 0.195 0.805 0.509
O: 0.327 0.353 0.201
O: 0.353 0.327 0.701
O: 0.114 0.592 0.661
O: 0.592 0.114 0.161
O: 0.947 0.053 0.122
O: 0.787 0.213 0.695
O: 0.213 0.787 0.195
O: 0.053 0.947 0.622
O: 0.886 0.408 0.161
O: 0.408 0.886 0.661
O: 0.647 0.673 0.201
O: 0.673 0.647 0.701

Formation energy from the elements: -3659 kJ/mol of formula units
Corrected total energy (MP2020 scheme): -8.6163 eV/atom